BaCa2Si3O9 | GGA-PBE | relaxed Values from VASP.

Structure (Quantum ESPRESSO input):
```
&SYSTEM
  ibrav = 0, nat = 30, ntyp = 4
/
ATOMIC_SPECIES
Ba 137.33 Ba.upf
Ca 40.08 Ca.upf
Si 28.09 Si.upf
O 16.00 O.upf
ATOMIC_POSITIONS angstrom
Ba 2.290 2.940 1.388
Ba 9.263 3.330 7.734
Ca 5.654 5.921 7.553
Ca 3.819 1.236 4.456
Ca 7.735 5.034 4.666
Ca 5.900 0.349 1.569
Si 4.229 4.729 4.380
Si 3.999 6.224 1.774
Si 5.727 2.360 7.076
Si 5.827 3.910 2.046
Si 7.555 0.047 7.348
Si 7.325 1.541 4.742
O 3.129 4.076 5.336
O 3.379 5.635 3.228
O 1.344 0.013 0.815
O 5.334 3.640 7.974
O 4.429 1.464 6.712
O 5.403 5.609 5.070
O 3.653 0.647 2.111
O 4.904 3.505 3.395
O 4.737 4.836 1.128
O 6.817 1.434 7.994
O 6.650 2.766 5.727
O 7.901 5.623 7.011
O 6.151 0.661 4.052
O 7.125 4.807 2.410
O 6.220 2.630 1.148
O 10.210 6.257 8.307
O 8.175 0.636 5.894
O 8.425 2.194 3.786
CELL_PARAMETERS angstrom
6.764 0.000 0.000
1.458 6.709 0.000
3.332 -0.438 9.122
```

V in Å³/atom: 13.80
ΔH_f (0 K) in eV/atom: -3.43
Symmetry: P-1, No. 2

***

Dy4FeSn8 | GGA-PBE | relaxed Values from VASP.

Structure (Quantum ESPRESSO input):
```
&SYSTEM
  ibrav = 0, nat = 13, ntyp = 3
/
ATOMIC_SPECIES
Dy 162.50 Dy.upf
Fe 55.84 Fe.upf
Sn 118.71 Sn.upf
ATOMIC_POSITIONS angstrom
Dy 0.000 0.000 0.000
Dy 0.000 2.227 8.218
Dy 2.201 0.000 13.167
Dy 2.201 2.227 4.929
Fe 0.000 2.227 11.698
Sn 0.000 0.000 5.539
Sn 0.000 0.000 10.539
Sn 0.000 2.227 2.409
Sn 0.000 2.227 14.163
Sn 2.201 0.000 2.490
Sn 2.201 0.000 7.624
Sn 2.201 2.227 10.541
Sn 2.201 2.227 16.133
CELL_PARAMETERS angstrom
4.402 0.000 0.000
0.000 4.454 0.000
0.000 0.000 16.602
```

V in Å³/atom: 25.04
ΔH_f (0 K) in eV/atom: -0.48
Symmetry: Pmm2, No. 25

***

YC3O6 | GGA-PBE | relaxed Values from VASP.

Structure (Quantum ESPRESSO input):
```
&SYSTEM
  ibrav = 0, nat = 10, ntyp = 3
/
ATOMIC_SPECIES
Y 88.91 Y.upf
C 12.01 C.upf
O 16.00 O.upf
ATOMIC_POSITIONS angstrom
Y 0.000 0.000 0.000
C -2.406 -1.389 1.860
C 2.406 -1.389 1.860
C 0.000 2.778 1.860
O -3.198 -1.847 2.694
O -1.320 -0.762 1.997
O 1.320 -0.762 1.997
O 0.000 1.524 1.997
O 3.198 -1.847 2.694
O 0.000 3.693 2.694
CELL_PARAMETERS angstrom
5.258 3.036 1.332
-5.258 3.036 1.332
0.000 -6.071 1.332
```

V in Å³/atom: 12.76
ΔH_f (0 K) in eV/atom: -1.67
Symmetry: R3m, No. 160

***

CdCNCl3 | GGA-PBE | relaxed Values from VASP.

Structure (Quantum ESPRESSO input):
```
&SYSTEM
  ibrav = 0, nat = 12, ntyp = 4
/
ATOMIC_SPECIES
Cd 112.41 Cd.upf
C 12.01 C.upf
N 14.01 N.upf
Cl 35.45 Cl.upf
ATOMIC_POSITIONS angstrom
Cd 0.000 0.000 0.000
Cd 0.000 3.504 0.000
C 2.315 1.752 3.010
C 1.920 5.256 5.525
N 0.753 5.256 5.609
N 3.481 1.752 2.927
Cl -0.836 1.752 8.097
Cl 0.698 1.752 3.169
Cl 1.577 5.256 1.017
Cl 2.658 1.752 7.519
Cl 3.537 5.256 5.366
Cl 5.071 5.256 0.438
CELL_PARAMETERS angstrom
6.860 0.000 0.000
0.000 7.009 0.000
-2.626 0.000 8.535
```

V in Å³/atom: 34.20
ΔH_f (0 K) in eV/atom: -0.54
Symmetry: P2_1/m, No. 11

***

ErGaAg | GGA-PBE | relaxed Values from VASP.

Structure (Quantum ESPRESSO input):
```
&SYSTEM
  ibrav = 0, nat = 6, ntyp = 3
/
ATOMIC_SPECIES
Er 167.26 Er.upf
Ga 69.72 Ga.upf
Ag 107.87 Ag.upf
ATOMIC_POSITIONS angstrom
Er -0.988 0.000 1.531
Er 6.702 0.000 3.746
Ga -0.642 0.000 4.670
Ga 6.357 0.000 0.607
Ag 2.108 0.000 1.470
Ag 3.607 0.000 3.807
CELL_PARAMETERS angstrom
5.226 -2.273 0.000
5.226 2.273 0.000
-4.738 0.000 5.277
```

V in Å³/atom: 20.89
ΔH_f (0 K) in eV/atom: -0.48
Symmetry: C2/m, No. 12

***

Li2ZnCl4 | GGA-PBE | relaxed Values from VASP.

Structure (Quantum ESPRESSO input):
```
&SYSTEM
  ibrav = 0, nat = 14, ntyp = 3
/
ATOMIC_SPECIES
Li 6.94 Li.upf
Zn 65.41 Zn.upf
Cl 35.45 Cl.upf
ATOMIC_POSITIONS angstrom
Li 0.000 0.000 0.000
Li 2.607 2.607 0.000
Li 2.607 0.000 2.607
Li 0.000 2.607 2.607
Zn 3.911 3.911 3.911
Zn 6.518 6.518 6.518
Cl 7.855 5.181 5.181
Cl 2.574 2.574 2.574
Cl 5.248 5.248 2.574
Cl 5.248 2.574 5.248
Cl 5.181 7.855 5.181
Cl 5.181 5.181 7.855
Cl 7.855 7.855 7.855
Cl 2.574 5.248 5.248
CELL_PARAMETERS angstrom
0.000 5.215 5.215
5.215 0.000 5.215
5.215 5.215 0.000
```

V in Å³/atom: 20.26
ΔH_f (0 K) in eV/atom: -1.87
Symmetry: Fd-3m, No. 227
Excess energy over the best structure of this formula in the dataset in meV per atom: 4